HgPd3: relaxed, PBE.

Lattice parameters (Å, degrees): 5.746 5.746 4.696 90.00 90.00 120.00
Positions (direct):
1 Hg 0.333 0.667 0.250
2 Hg 0.667 0.333 0.750
3 Pd 0.165 0.329 0.750
4 Pd 0.165 0.835 0.750
5 Pd 0.329 0.165 0.250
6 Pd 0.671 0.835 0.750
7 Pd 0.835 0.165 0.250
8 Pd 0.835 0.671 0.250

Space-group type: P6_3/mmc (194)
Final energy, hartree per atom: -0.1497

=====

HgPd3: relaxed, PBE.

Lattice parameters (Å, degrees): 4.059 4.059 4.059 90.00 90.00 90.00
Positions (direct):
1 Hg 0.000 0.000 0.000
2 Pd 0.000 0.500 0.500
3 Pd 0.500 0.000 0.500
4 Pd 0.500 0.500 0.000

Space-group type: Pm-3m (221)
Final energy, hartree per atom: -0.1499

=====

HgPd3: relaxed, PBE.

Lattice parameters (Å, degrees): 4.083 4.083 8.010 90.00 90.00 90.00
Positions (direct):
1 Hg 0.000 0.000 0.000
2 Hg 0.500 0.500 0.500
3 Pd 0.000 0.000 0.500
4 Pd 0.000 0.500 0.250
5 Pd 0.000 0.500 0.750
6 Pd 0.500 0.000 0.250
7 Pd 0.500 0.000 0.750
8 Pd 0.500 0.500 0.000

Space-group type: I4/mmm (139)
Final energy, hartree per atom: -0.1506

=====

- Which formula does entry 2 have?
  HgPd3

=====

- Look up the final energy of the second one.
  -0.1499 hartree per atom